No. 1
## Mo2O7 (PBE with a Hubbard U)

Data for a geometry-optimized Mo2O7 structure.

abc: 7.4511 3.7460 9.9084
angles: 90.00 102.66 90.00
Closest atoms and distances in Å follow each position.
Element x y z (fractional)
Mo 0.1524 0.2500 0.4199  2 O 1.72-1.75
Mo 0.1926 0.7500 0.9854  2 O 1.72
Mo 0.8074 0.2500 0.0146  2 O 1.72
Mo 0.8476 0.7500 0.5801  2 O 1.72-1.75
O 0.0136 0.2500 0.2528  1 Mo 1.75
O 0.1007 0.2500 0.9673  2 Mo 1.99
O 0.1110 0.7500 0.4742  2 Mo 1.99
O 0.2831 0.2500 0.6450  1 Mo 2.23
O 0.3107 0.7500 0.1549  1 Mo 1.72
O 0.3650 0.7500 0.8945  1 Mo 1.72
O 0.3744 0.2500 0.3975  1 Mo 1.72
O 0.6256 0.7500 0.6025  1 Mo 1.72
O 0.6350 0.2500 0.1055  1 Mo 1.72
O 0.6893 0.2500 0.8451  1 Mo 1.72
O 0.7169 0.7500 0.3550  1 Mo 2.23
O 0.8890 0.2500 0.5258  2 Mo 1.99
O 0.8993 0.7500 0.0327  2 Mo 1.99
O 0.9864 0.7500 0.7472  1 Mo 1.75

Values from the calculation:
MP2020-corrected energy in Ry/atom: -0.56081
Total DFT energy (no corrections) in eV per atom: -6.384
Space group: P2_1/m
Formation energy from the elements in kcal/mol of atoms: -31.6

No. 2
## Mo3O8 (PBE with a Hubbard U)

Data for a geometry-optimized Mo3O8 structure.

abc: 6.1464 6.1464 9.8756
angles: 90.00 90.00 120.00
Closest atoms and distances in Å follow each position.
Element x y z (fractional)
Mo 0.1684 0.3368 0.0000  6 O 1.95-2.10
Mo 0.1684 0.8316 0.0000  6 O 1.95-2.10
Mo 0.3368 0.1684 0.5000  6 O 1.95-2.10
Mo 0.6632 0.8316 0.0000  6 O 1.95-2.10
Mo 0.8316 0.1684 0.5000  6 O 1.95-2.10
Mo 0.8316 0.6632 0.5000  6 O 1.95-2.10
O 0.0000 0.0000 0.1103  3 Mo 2.10
O 0.0000 0.0000 0.6103  3 Mo 2.10
O 0.0403 0.5201 0.1047  2 Mo 1.96
O 0.1494 0.2988 0.4036  2 Mo 1.95
O 0.1494 0.8506 0.4036  2 Mo 1.95
O 0.2988 0.1494 0.9036  2 Mo 1.95
O 0.3333 0.6667 0.8867  3 Mo 2.08
O 0.4799 0.5201 0.1047  2 Mo 1.96
O 0.4799 0.9597 0.1047  2 Mo 1.96
O 0.5201 0.0403 0.6047  2 Mo 1.96
O 0.5201 0.4799 0.6047  2 Mo 1.96
O 0.6667 0.3333 0.3867  3 Mo 2.08
O 0.7012 0.8506 0.4036  2 Mo 1.95
O 0.8506 0.1494 0.9036  2 Mo 1.95
O 0.8506 0.7012 0.9036  2 Mo 1.95
O 0.9597 0.4799 0.6047  2 Mo 1.96

Values from the calculation:
E above lowest polymorph in meV per atom: 71
MP2020-corrected energy in Ry/atom: -0.60145
Total DFT energy (no corrections) in eV per atom: -6.810
Space group: P6_3mc
Formation energy from the elements in kcal/mol of atoms: -37.5

No. 3
## MoO5 (PBE with a Hubbard U)

Data for a geometry-optimized MoO5 structure.

abc: 3.9771 6.1346 7.5617
angles: 90.00 90.10 90.00
Closest atoms and distances in Å follow each position.
Element x y z (fractional)
Mo 0.0940 0.0000 0.2487  5 O 1.76-1.94
Mo 0.9060 0.0000 0.7513  5 O 1.76-1.94
O 0.0000 0.0000 0.0000  2 Mo 1.92
O 0.0000 0.0000 0.5000  2 Mo 1.94
O 0.0253 0.3066 0.2571  1 Mo 1.90
O 0.0253 0.6934 0.2571  1 Mo 1.90
O 0.4636 0.0000 0.7515  1 Mo 1.76
O 0.5000 0.5000 0.0000  8 O 2.96-3.09
O 0.5000 0.5000 0.5000  8 O 2.89-3.03
O 0.5364 0.0000 0.2485  1 Mo 1.76
O 0.9747 0.3066 0.7429  1 Mo 1.90
O 0.9747 0.6934 0.7429  1 Mo 1.90

Values from the calculation:
E above lowest polymorph in meV per atom: 83
MP2020-corrected energy in Ry/atom: -0.47490
Total DFT energy (no corrections) in eV per atom: -5.355
Space group: P2/m
Formation energy from the elements in kcal/mol of atoms: -12.2

No. 4
## Sn2MoOsO6 (PBE with a Hubbard U)

Data for a geometry-optimized Sn2MoOsO6 structure.

abc: 5.7374 5.7374 5.7374
angles: 60.00 60.00 60.00
Closest atoms and distances in Å follow each position.
Element x y z (fractional)
Sn 0.2500 0.2500 0.2500  12 O 2.87
Sn 0.7500 0.7500 0.7500  12 O 2.87
Mo 0.0000 0.0000 0.0000  6 O 2.09
Os 0.5000 0.5000 0.5000  6 O 1.96
O 0.2580 0.2580 0.7420  1 Os 1.96, 1 Mo 2.09
O 0.2580 0.7420 0.2580  1 Os 1.96, 1 Mo 2.09
O 0.2580 0.7420 0.7420  1 Os 1.96, 1 Mo 2.09
O 0.7420 0.2580 0.2580  1 Os 1.96, 1 Mo 2.09
O 0.7420 0.2580 0.7420  1 Os 1.96, 1 Mo 2.09
O 0.7420 0.7420 0.2580  1 Os 1.96, 1 Mo 2.09

Values from the calculation:
MP2020-corrected energy in Ry/atom: -0.54439
Total DFT energy (no corrections) in eV per atom: -6.674
Space group: Fm-3m
Formation energy from the elements in kcal/mol of atoms: -32.9

No. 5
## Mo3P4O16 (PBE with a Hubbard U)

Data for a geometry-optimized Mo3P4O16 structure.

abc: 8.7888 5.1570 15.5127
angles: 90.00 118.65 90.00
Closest atoms and distances in Å follow each position.
Element x y z (fractional)
Mo 0.0000 0.0000 0.0000  4 O 2.00-2.02
Mo 0.0000 0.5000 0.5000  4 O 2.00-2.02
Mo 0.3033 0.0302 0.2984  5 O 1.96-2.11
Mo 0.3033 0.4698 0.7984  5 O 1.96-2.11
Mo 0.6967 0.5302 0.2016  5 O 1.96-2.11
Mo 0.6967 0.9698 0.7016  5 O 1.96-2.11
P 0.0382 0.0009 0.6539  4 O 1.52-1.58
P 0.0382 0.4991 0.1539  4 O 1.52-1.58
P 0.4268 0.0050 0.1153  4 O 1.51-1.57
P 0.4268 0.4950 0.6153  4 O 1.51-1.57
P 0.5732 0.5050 0.3847  4 O 1.51-1.57
P 0.5732 0.9950 0.8847  4 O 1.51-1.57
P 0.9618 0.5009 0.8461  4 O 1.52-1.58
P 0.9618 0.9991 0.3461  4 O 1.52-1.58
O 0.0338 0.1610 0.5690  1 P 1.54
O 0.0338 0.3390 0.0690  1 P 1.54
O 0.0839 0.7101 0.6445  1 P 1.58
O 0.0839 0.7899 0.1445  1 P 1.58
O 0.1440 0.5271 0.8541  1 P 1.55
O 0.1440 0.9729 0.3541  1 P 1.55
O 0.1763 0.1100 0.7515  1 P 1.52
O 0.1763 0.3900 0.2515  1 P 1.52
O 0.2458 0.0236 0.0230  1 P 1.55
O 0.2458 0.4764 0.5230  1 P 1.55
O 0.4059 0.0051 0.2086  1 P 1.54
O 0.4059 0.4949 0.7086  1 P 1.54
O 0.4536 0.7196 0.3821  1 P 1.51
O 0.4536 0.7804 0.8821  1 P 1.51
O 0.5004 0.2342 0.3939  1 P 1.57
O 0.5004 0.2658 0.8939  1 P 1.57
O 0.4996 0.7342 0.1061  1 P 1.57
O 0.4996 0.7658 0.6061  1 P 1.57
O 0.5464 0.2196 0.1179  1 P 1.51
O 0.5464 0.2804 0.6179  1 P 1.51
O 0.5941 0.5051 0.2914  1 P 1.54
O 0.5941 0.9949 0.7914  1 P 1.54
O 0.7542 0.5236 0.4770  1 P 1.55
O 0.7542 0.9764 0.9770  1 P 1.55
O 0.8237 0.6100 0.7485  1 P 1.52
O 0.8237 0.8900 0.2485  1 P 1.52
O 0.8560 0.0271 0.6459  1 P 1.55
O 0.8560 0.4729 0.1459  1 P 1.55
O 0.9161 0.2101 0.8555  1 P 1.58
O 0.9161 0.2899 0.3555  1 P 1.58
O 0.9662 0.6610 0.9310  1 P 1.54
O 0.9662 0.8390 0.4310  1 P 1.54

Values from the calculation:
E above lowest polymorph in meV per atom: 0
MP2020-corrected energy in Ry/atom: -0.60236
Total DFT energy (no corrections) in eV per atom: -7.300
Space group: P2_1/c
Formation energy from the elements in kcal/mol of atoms: -55.3

No. 6
## Mo2P3O13 (PBE with a Hubbard U)

Data for a geometry-optimized Mo2P3O13 structure.

abc: 9.0086 9.0227 9.1683
angles: 106.08 110.98 110.67
Closest atoms and distances in Å follow each position.
Element x y z (fractional)
Mo 0.1768 0.1603 0.3332  1 O 1.69
Mo 0.1778 0.5188 0.8483  1 O 1.69
Mo 0.8222 0.4812 0.1517  1 O 1.69
Mo 0.8232 0.8397 0.6668  1 O 1.69
P 0.0192 0.7636 0.0139  4 O 1.52-1.57
P 0.4122 0.3233 0.7601  4 O 1.50-1.62
P 0.4121 0.5851 0.6483  4 O 1.49-1.62
P 0.5879 0.4149 0.3517  4 O 1.49-1.62
P 0.5878 0.6767 0.2399  4 O 1.50-1.62
P 0.9808 0.2364 0.9861  4 O 1.52-1.57
O 0.0310 0.6123 0.3383  1 Mo 1.69
O 0.0349 0.9218 0.6893  1 Mo 1.69
O 0.1024 0.1913 0.1078  1 P 1.52
O 0.1039 0.4113 0.9880  1 P 1.57
O 0.1403 0.7155 0.9437  1 P 1.57
O 0.1451 0.9143 0.2024  1 P 1.53
O 0.2651 0.3457 0.8008  1 P 1.56
O 0.2653 0.4285 0.4644  1 P 1.53
O 0.3130 0.6363 0.7474  1 P 1.57
O 0.3172 0.1708 0.5746  1 P 1.53
O 0.4503 0.6872 0.0969  1 P 1.50
O 0.4505 0.2576 0.3468  1 P 1.49
O 0.4781 0.4909 0.2415  2 P 1.62
O 0.5219 0.5091 0.7585  2 P 1.62
O 0.5495 0.7424 0.6532  1 P 1.49
O 0.5497 0.3128 0.9031  1 P 1.50
O 0.6828 0.8292 0.4254  1 P 1.53
O 0.6870 0.3637 0.2526  1 P 1.57
O 0.7347 0.5715 0.5356  1 P 1.53
O 0.7349 0.6543 0.1992  1 P 1.56
O 0.8549 0.0857 0.7976  1 P 1.53
O 0.8597 0.2845 0.0563  1 P 1.57
O 0.8961 0.5887 0.0120  1 P 1.57
O 0.8976 0.8087 0.8922  1 P 1.52
O 0.9651 0.0782 0.3107  1 Mo 1.69
O 0.9690 0.3877 0.6617  1 Mo 1.69

Values from the calculation:
E above lowest polymorph in meV per atom: 11
MP2020-corrected energy in Ry/atom: -0.59097
Total DFT energy (no corrections) in eV per atom: -7.189
Space group: P-1
Formation energy from the elements in kcal/mol of atoms: -54.4